No. 1
Ca4Er2Sn15Pt9 after structural relaxation, computed with PBE-GGA.

Values from the calculation:
- V: 22.35 Å³ per atom
- Energy relative to the elements: -0.75 eV/atom
- Total energy: -5.15 eV per atom

Geometry as CIF:
```
data_Ca4Er2Sn15Pt9
_cell_length_a 7.456
_cell_length_b 4.489
_cell_length_c 80.161
_cell_angle_alpha 90.00
_cell_angle_beta 90.05
_cell_angle_gamma 90.00
_space_group_name_H-M_alt 'P 1 m 1'
_space_group_IT_number 6
_space_group_name_Hall 'P -2y'
loop_
_atom_site_label
_atom_site_type_symbol
_atom_site_fract_x
_atom_site_fract_y
_atom_site_fract_z
Ca1 Ca 0.000 0.000 0.000
Ca2 Ca 0.000 0.000 0.333
Ca3 Ca 0.000 0.000 0.667
Ca4 Ca 0.002 0.500 0.167
Ca5 Ca 0.002 0.500 0.500
Ca6 Ca 0.002 0.500 0.833
Ca7 Ca 0.034 0.500 0.065
Ca8 Ca 0.034 0.500 0.399
Ca9 Ca 0.034 0.500 0.732
Ca10 Ca 0.500 0.000 0.115
Ca11 Ca 0.500 0.000 0.449
Ca12 Ca 0.500 0.000 0.782
Ca13 Ca 0.502 0.500 0.282
Ca14 Ca 0.502 0.500 0.615
Ca15 Ca 0.502 0.500 0.949
Ca16 Ca 0.534 0.500 0.383
Er1 Er 0.469 0.000 0.216
Er2 Er 0.469 0.000 0.550
Er3 Er 0.469 0.000 0.883
Er4 Er 0.533 0.500 0.050
Er5 Er 0.533 0.500 0.716
Er6 Er 0.969 0.000 0.232
Er7 Er 0.969 0.000 0.566
Er8 Er 0.969 0.000 0.899
Sn1 Sn 0.035 0.000 0.097
Sn2 Sn 0.035 0.000 0.764
Sn3 Sn 0.036 0.000 0.431
Sn4 Sn 0.129 0.500 0.208
Sn5 Sn 0.129 0.500 0.542
Sn6 Sn 0.129 0.500 0.875
Sn7 Sn 0.156 0.500 0.025
Sn8 Sn 0.156 0.500 0.692
Sn9 Sn 0.157 0.500 0.359
Sn10 Sn 0.212 0.500 0.460
Sn11 Sn 0.213 0.500 0.127
Sn12 Sn 0.213 0.500 0.793
Sn13 Sn 0.215 0.000 0.293
Sn14 Sn 0.215 0.000 0.627
Sn15 Sn 0.215 0.000 0.960
Sn16 Sn 0.287 0.500 0.656
Sn17 Sn 0.287 0.500 0.989
Sn18 Sn 0.288 0.500 0.322
Sn19 Sn 0.289 0.000 0.156
Sn20 Sn 0.289 0.000 0.489
Sn21 Sn 0.289 0.000 0.822
Sn22 Sn 0.345 0.000 0.257
Sn23 Sn 0.345 0.000 0.590
Sn24 Sn 0.345 0.000 0.923
Sn25 Sn 0.372 0.000 0.074
Sn26 Sn 0.372 0.000 0.407
Sn27 Sn 0.372 0.000 0.741
Sn28 Sn 0.467 0.500 0.185
Sn29 Sn 0.467 0.500 0.518
Sn30 Sn 0.467 0.500 0.851
Sn31 Sn 0.536 0.000 0.018
Sn32 Sn 0.536 0.000 0.351
Sn33 Sn 0.536 0.000 0.685
Sn34 Sn 0.629 0.500 0.241
Sn35 Sn 0.629 0.500 0.574
Sn36 Sn 0.629 0.500 0.907
Sn37 Sn 0.657 0.500 0.090
Sn38 Sn 0.657 0.500 0.423
Sn39 Sn 0.657 0.500 0.757
Sn40 Sn 0.712 0.500 0.322
Sn41 Sn 0.714 0.500 0.656
Sn42 Sn 0.714 0.500 0.989
Sn43 Sn 0.715 0.000 0.156
Sn44 Sn 0.715 0.000 0.489
Sn45 Sn 0.715 0.000 0.822
Sn46 Sn 0.787 0.500 0.127
Sn47 Sn 0.788 0.500 0.460
Sn48 Sn 0.788 0.500 0.793
Sn49 Sn 0.789 0.000 0.293
Sn50 Sn 0.789 0.000 0.627
Sn51 Sn 0.789 0.000 0.960
Sn52 Sn 0.845 0.000 0.192
Sn53 Sn 0.845 0.000 0.526
Sn54 Sn 0.845 0.000 0.859
Sn55 Sn 0.872 0.000 0.375
Sn56 Sn 0.874 0.000 0.042
Sn57 Sn 0.874 0.000 0.708
Sn58 Sn 0.967 0.500 0.264
Sn59 Sn 0.967 0.500 0.597
Sn60 Sn 0.967 0.500 0.931
Pt1 Pt 0.009 0.500 0.298
Pt2 Pt 0.009 0.500 0.965
Pt3 Pt 0.010 0.500 0.632
Pt4 Pt 0.221 0.000 0.189
Pt5 Pt 0.221 0.000 0.523
Pt6 Pt 0.221 0.000 0.856
Pt7 Pt 0.246 0.500 0.240
Pt8 Pt 0.246 0.500 0.574
Pt9 Pt 0.246 0.500 0.907
Pt10 Pt 0.251 0.000 0.375
Pt11 Pt 0.260 0.000 0.042
Pt12 Pt 0.260 0.000 0.708
Pt13 Pt 0.288 0.500 0.093
Pt14 Pt 0.288 0.500 0.427
Pt15 Pt 0.288 0.500 0.760
Pt16 Pt 0.494 0.000 0.317
Pt17 Pt 0.494 0.000 0.650
Pt18 Pt 0.494 0.000 0.984
Pt19 Pt 0.509 0.500 0.484
Pt20 Pt 0.510 0.500 0.150
Pt21 Pt 0.510 0.500 0.817
Pt22 Pt 0.721 0.000 0.259
Pt23 Pt 0.721 0.000 0.593
Pt24 Pt 0.721 0.000 0.926
Pt25 Pt 0.746 0.500 0.209
Pt26 Pt 0.746 0.500 0.542
Pt27 Pt 0.746 0.500 0.875
Pt28 Pt 0.748 0.000 0.074
Pt29 Pt 0.748 0.000 0.740
Pt30 Pt 0.751 0.000 0.407
Pt31 Pt 0.781 0.500 0.023
Pt32 Pt 0.781 0.500 0.689
Pt33 Pt 0.788 0.500 0.355
Pt34 Pt 0.994 0.000 0.132
Pt35 Pt 0.994 0.000 0.465
Pt36 Pt 0.994 0.000 0.799
```


No. 2
LiTa4O12 after structural relaxation, computed with PBE-GGA.

Values from the calculation:
- V: 14.59 Å³ per atom
- Energy relative to the elements: -2.85 eV/atom
- Total energy: -8.76 eV per atom

Geometry as CIF:
```
data_LiTa4O12
_cell_length_a 7.916
_cell_length_b 7.916
_cell_length_c 7.916
_cell_angle_alpha 90.00
_cell_angle_beta 90.00
_cell_angle_gamma 90.00
_space_group_name_H-M_alt 'I m -3'
_space_group_IT_number 204
_space_group_name_Hall '-I 2 2 3'
loop_
_atom_site_label
_atom_site_type_symbol
_atom_site_fract_x
_atom_site_fract_y
_atom_site_fract_z
Li1 Li 0.000 0.000 0.000
Ta1 Ta 0.250 0.250 0.250
O1 O 0.000 0.251 0.240
```


No. 3
USb2F15 after structural relaxation, computed with PBE-GGA.

Values from the calculation:
- V: 19.75 Å³ per atom
- Energy relative to the elements: -2.97 eV/atom
- Total energy: -5.27 eV per atom
- Polymorph energy (0 for the lowest one): 0.000 eV per atom

Geometry as CIF:
```
data_USb2F15
_cell_length_a 8.533
_cell_length_b 15.903
_cell_length_c 10.491
_cell_angle_alpha 90.00
_cell_angle_beta 92.57
_cell_angle_gamma 90.00
_space_group_name_H-M_alt 'P 1 21/c 1'
_space_group_IT_number 14
_space_group_name_Hall '-P 2ybc'
loop_
_atom_site_label
_atom_site_type_symbol
_atom_site_fract_x
_atom_site_fract_y
_atom_site_fract_z
U1 U 0.247 0.124 0.335
Sb1 Sb 0.131 0.053 0.722
Sb2 Sb 0.356 0.716 0.552
F1 F 0.019 0.046 0.292
F2 F 0.054 0.619 0.783
F3 F 0.118 0.054 0.535
F4 F 0.131 0.045 0.902
F5 F 0.153 0.217 0.436
F6 F 0.167 0.182 0.174
F7 F 0.184 0.663 0.468
F8 F 0.227 0.733 0.169
F9 F 0.268 0.146 0.722
F10 F 0.293 0.528 0.213
F11 F 0.350 0.040 0.220
F12 F 0.405 0.084 0.471
F13 F 0.407 0.719 0.911
F14 F 0.470 0.231 0.349
F15 F 0.470 0.616 0.560
```


Which value of energy relative to the elements does entry 2 give? -2.85 eV/atom


Look up the energy relative to the elements of the third one. -2.97 eV/atom


Among the records above, which one has the lowest energy relative to the elements? USb2F15


Among the records above, which one has the highest energy relative to the elements? Ca4Er2Sn15Pt9